Material: Mg5Si9
Method: DFT, PBE-GGA
State: optimized geometry

```
data_Mg5Si9
_chemical_formula_sum 'Mg10 Si18'
_cell_length_a 7.5318
_cell_length_b 7.5350
_cell_length_c 10.8321
_cell_angle_alpha 73.75
_cell_angle_beta 88.32
_cell_angle_gamma 60.70
_symmetry_space_group_name_H-M 'P 1'
_symmetry_Int_Tables_number 1
loop_
_symmetry_equiv_pos_as_xyz
'x,y,z'
loop_
_atom_site_label
_atom_site_type_symbol
_atom_site_fract_x
_atom_site_fract_y
_atom_site_fract_z
Mg1 Mg 0.0000 0.0000 0.0000
Mg2 Mg 0.0033 0.2959 0.5285
Mg3 Mg 0.2016 0.3950 0.2788
Mg4 Mg 0.2630 0.9232 0.4243
Mg5 Mg 0.4733 0.7309 0.9596
Mg6 Mg 0.5164 0.4468 0.4594
Mg7 Mg 0.5929 0.1854 0.1358
Mg8 Mg 0.6794 0.3654 0.7566
Mg9 Mg 0.6973 0.6967 0.2749
Mg10 Mg 0.8865 0.6212 0.7934
Si1 Si 0.1268 0.1809 0.7868
Si2 Si 0.2295 0.0956 0.1603
Si3 Si 0.2332 0.5308 0.9965
Si4 Si 0.2454 0.6703 0.7695
Si5 Si 0.2776 0.4066 0.6681
Si6 Si 0.3181 0.1950 0.9554
Si7 Si 0.3190 0.7287 0.2057
Si8 Si 0.3806 0.9112 0.6709
Si9 Si 0.5917 0.0729 0.6655
Si10 Si 0.6036 0.0751 0.4122
Si11 Si 0.6594 0.0060 0.9076
Si12 Si 0.6683 0.6914 0.5399
Si13 Si 0.8520 0.2084 0.3318
Si14 Si 0.8542 0.3432 0.0985
Si15 Si 0.8850 0.6563 0.0491
Si16 Si 0.9325 0.9519 0.6160
Si17 Si 0.9763 0.8583 0.2838
Si18 Si 0.9993 0.6830 0.5070
```

Values from the calculation:
Magnetization: 0.0001 μB per atom
ΔH_f (0 K): 0.199 eV/atom
Relative energy among the computed polymorphs: 48 meV/atom
SG: No. 1